No. 1
This record from the Materials Project describes a relaxed structure of LiMnOF2. The functional is PBE+U.

Summary:
VASP energy ... -0.434 Ry/atom
Total moment ... 16.00 Bohr magnetons per cell
ΔH_f (0 K) ... -12.99 eV/f.u.
Energy with MP2020 corrections ... -6.567 eV per atom

a b c (Å): 5.1746 5.2111 9.8536
angles (deg): 74.96 89.41 60.33
Closest atoms and distances in Å follow each position.
Space group P-1 (No. 2)
One atom of each set of equivalent atoms:
1 Li 0.1791 0.1192 0.0488 x2  2 F 1.93-2.07, 1 O 2.03
2 Li 0.2941 0.8774 0.4512 x2  2 F 1.94-2.05, 1 O 2.03
3 Mn 0.0866 0.3419 0.7363 x2  2 O 1.89-1.90, 3 F 2.04-2.07
4 Mn 0.3908 0.6761 0.7638 x2  2 O 1.88-1.89, 2 F 2.04-2.05
5 O 0.0842 0.7125 0.6444 x2  2 Mn 1.89-1.90, 1 Li 2.03
6 O 0.1260 0.9682 0.8518 x2  2 Mn 1.88-1.89, 1 Li 2.03
7 F 0.2183 0.4289 0.1297 x2  2 Mn 2.04-2.14, 1 Li 2.07
8 F 0.3187 0.5491 0.3644 x2  1 Li 2.05, 2 Mn 2.05-2.07
9 F 0.3681 0.0872 0.6157 x2  1 Li 1.94, 1 Mn 2.04
10 F 0.4314 0.2486 0.8808 x2  1 Li 1.93, 2 Mn 2.07-2.13

No. 2
This record from the Materials Project describes a relaxed structure of Li7MnO4F2. The functional is PBE+U.

Summary:
VASP energy ... -0.385 Ry/atom
Total moment ... 0.00 Bohr magnetons per cell
ΔH_f (0 K) ... -32.61 eV/f.u.
Energy with MP2020 corrections ... -5.625 eV per atom

a b c (Å): 5.4342 5.7865 10.0140
angles (deg): 74.96 87.50 64.55
Closest atoms and distances in Å follow each position.
Space group P1 (No. 1)
One atom of each set of equivalent atoms:
1 Li 0.0000 0.0000 0.0000 x1  3 O 1.90-2.08, 1 F 1.91
2 Li 0.0002 0.3833 0.7921 x1  2 O 1.94-2.03, 1 F 1.97
3 Li 0.0518 0.0020 0.3037 x1  3 O 1.87-2.02, 1 F 1.92
4 Li 0.0695 0.2664 0.4461 x1  1 F 1.90, 3 O 1.90-2.01
5 Li 0.0889 0.9887 0.6725 x1  2 F 1.86-1.91, 1 O 2.02
6 Li 0.0950 0.6327 0.2178 x1  2 O 1.99-2.03, 1 F 2.18
7 Li 0.0991 0.3154 0.0867 x1  2 O 1.88-1.89
8 Li 0.5258 0.3032 0.9472 x1  1 F 1.89, 3 O 1.90-2.08
9 Li 0.5292 0.9848 0.5146 x1  1 F 1.92, 3 O 1.97-2.04
10 Li 0.5323 0.6798 0.3877 x1  3 O 2.04-2.20
11 Li 0.5623 0.0063 0.1749 x1  4 O 1.88-1.99
12 Li 0.5708 0.2763 0.3062 x1  3 O 1.87-1.96, 1 F 2.02
13 Li 0.5839 0.9472 0.8295 x1  3 F 1.90-2.11, 1 O 1.94
14 Li 0.5850 0.3475 0.6164 x1  1 F 1.88, 2 O 1.89-2.00
15 Mn 0.0557 0.6509 0.5196 x1  4 O 1.90-2.04
16 Mn 0.5512 0.6457 0.0632 x1  4 O 1.93-2.00
17 O 0.2303 0.8855 0.4969 x1  5 Li 1.92-2.04, 1 Mn 1.93
18 O 0.2783 0.8819 0.1668 x1  4 Li 1.87-2.07, 1 Mn 2.00
19 O 0.3620 0.3889 0.4505 x1  4 Li 1.87-2.04, 1 Mn 1.96
20 O 0.3861 0.3986 0.1224 x1  5 Li 1.89-2.00, 1 Mn 1.95
21 O 0.7148 0.8906 0.0183 x1  4 Li 1.88-2.08, 1 Mn 1.93
22 O 0.7647 0.8873 0.3592 x1  5 Li 1.95-2.05, 1 Mn 2.04
23 O 0.8062 0.4120 0.9592 x1  4 Li 1.88-2.08, 1 Mn 1.96
24 O 0.8988 0.4125 0.5932 x1  3 Li 1.89-2.03, 1 Mn 1.90
25 F 0.2260 0.9499 0.8481 x1  3 Li 1.86-1.94
26 F 0.3685 0.3653 0.7687 x1  3 Li 1.88-1.97
27 F 0.7729 0.9243 0.6661 x1  3 Li 1.90-1.92
28 F 0.8811 0.3816 0.2691 x1  3 Li 1.90-2.02

In meV per atom, the offset from the most stable computed form values for the records above are, in order, 77 10.